This record from the Materials Project database describes a relaxed structure of MgCuO2. The functional is PBE-GGA.

Computed properties:
final energy = -21.52 eV per formula unit
crystal system = triclinic
corrected total energy (MP2020 scheme) = -5.72 eV per atom

Cell lengths 2.860, 8.074, 8.326 Å; angles 89.48, 98.99, 99.87 degrees
Fractional positions:
Mg: 0.296 0.406 0.717
Mg: 0.704 0.594 0.283
Mg: 0.516 0.724 0.871
Mg: 0.484 0.276 0.129
Cu: 0.080 0.209 0.432
Cu: 0.689 0.078 0.823
Cu: 0.311 0.922 0.177
Cu: 0.920 0.791 0.568
O: 0.321 0.715 0.428
O: 0.917 0.084 0.231
O: 0.083 0.916 0.769
O: 0.679 0.285 0.572
O: 0.093 0.428 0.210
O: 0.294 0.225 0.892
O: 0.907 0.572 0.790
O: 0.706 0.775 0.108